No. 1
AlH3 after structural relaxation. Source: the Materials Project, functional PBE-GGA.

Output
Its crystal system is cubic. The formation energy comes out at -140.9 meV per atom.

Unit cell a=6.399 b=6.399 c=6.399 alpha=60.00 beta=60.00 gamma=60.00
Element x y z (fractional)
H1 0.804 0.196 0.804
H2 0.196 0.196 0.804
H3 0.446 0.054 0.446
H4 0.804 0.804 0.196
H5 0.054 0.446 0.446
H6 0.054 0.054 0.446
H7 0.196 0.804 0.804
H8 0.196 0.804 0.196
H9 0.446 0.446 0.054
H10 0.054 0.446 0.054
H11 0.446 0.054 0.054
H12 0.804 0.196 0.196
Al1 0.125 0.125 0.625
Al2 0.625 0.125 0.125
Al3 0.125 0.625 0.125
Al4 0.125 0.125 0.125

---

No. 2
AlH6 after structural relaxation. Source: the Materials Project, functional PBE-GGA.

Output
As for the total moment: 2.0 Bohr magnetons per cell. Its crystal system is monoclinic. The formation energy comes out at 928.2 meV per atom.

Unit cell a=6.096 b=6.096 c=17.211 alpha=89.73 beta=89.73 gamma=127.09
Element x y z (fractional)
H1 0.005 0.133 0.250
H2 0.252 0.501 0.629
H3 0.748 0.499 0.371
H4 0.716 0.322 0.503
H5 0.501 0.252 0.129
H6 0.284 0.678 0.497
H7 0.322 0.716 0.003
H8 0.867 0.995 0.250
H9 0.995 0.867 0.750
H10 0.678 0.284 0.997
H11 0.133 0.005 0.750
H12 0.499 0.748 0.871
Al1 0.000 0.500 0.000
Al2 0.500 0.000 0.500

---

No. 3
AlH3 after structural relaxation. Source: the Materials Project, functional PBE-GGA.

Output
Its crystal system is orthorhombic. The formation energy comes out at -128.1 meV per atom.

Unit cell a=5.453 b=5.791 c=7.410 alpha=90.00 beta=90.00 gamma=90.00
Element x y z (fractional)
H1 0.297 0.201 0.418
H2 0.903 0.000 0.861
H3 0.703 0.799 0.582
H4 0.327 0.000 0.701
H5 0.797 0.701 0.082
H6 0.203 0.701 0.918
H7 0.797 0.299 0.082
H8 0.297 0.799 0.418
H9 0.203 0.299 0.918
H10 0.827 0.500 0.799
H11 0.097 0.000 0.139
H12 0.500 0.000 0.000
H13 0.173 0.500 0.201
H14 0.403 0.500 0.639
H15 0.597 0.500 0.361
H16 0.673 0.000 0.299
H17 0.703 0.201 0.582
H18 0.000 0.500 0.500
Al1 0.212 0.000 0.915
Al2 0.288 0.500 0.415
Al3 0.788 0.000 0.085
Al4 0.712 0.500 0.585
Al5 0.000 0.500 0.000
Al6 0.500 0.000 0.500

---

No. 4
KNaAl6Si6H4O24 after structural relaxation. Source: the Materials Project, functional PBE-GGA.

Output
As for the total moment: 0.0 Bohr magnetons per cell. For the energy above the most stable polymorph in this dataset, the calculation gives 0.000 eV per atom. Its crystal system is monoclinic. The formation energy comes out at -2996.1 meV per atom.

Unit cell a=9.020 b=5.195 c=19.885 alpha=85.31 beta=90.00 gamma=90.00
Element x y z (fractional)
Si1 0.571 0.511 0.882
Si2 0.245 0.545 0.880
Si3 0.071 0.967 0.119
Si4 0.571 0.489 0.118
Si5 0.430 0.538 0.396
Si6 0.430 0.462 0.604
Si7 0.757 0.428 0.605
Si8 0.929 0.062 0.395
Si9 0.757 0.572 0.395
Si10 0.071 0.033 0.881
Si11 0.245 0.455 0.120
Si12 0.929 0.938 0.605
H1 0.855 0.615 0.811
H2 0.855 0.385 0.189
H3 0.342 0.129 0.797
H4 0.146 0.359 0.674
H5 0.342 0.871 0.203
H6 0.659 0.844 0.688
H7 0.146 0.641 0.326
H8 0.659 0.156 0.312
O1 0.801 0.731 0.582
O2 0.134 0.250 0.086
O3 0.249 0.405 0.202
O4 0.608 0.225 0.916
O5 0.449 0.551 0.313
O6 0.943 0.055 0.313
O7 0.750 0.110 0.794
O8 0.297 0.274 0.583
O9 0.193 0.248 0.904
O10 0.567 0.062 0.307
O11 0.752 0.377 0.687
O12 0.434 0.035 0.793
O13 0.251 0.136 0.308
O14 0.552 0.477 0.202
O15 0.942 0.466 0.207
O16 0.593 0.630 0.427
O17 0.408 0.410 0.087
O18 0.085 0.132 0.430
O19 0.058 0.027 0.799
O20 0.567 0.938 0.693
O21 0.942 0.534 0.793
O22 0.251 0.864 0.692
O23 0.873 0.228 0.573
O24 0.915 0.914 0.083
O25 0.434 0.965 0.207
O26 0.249 0.595 0.798
O27 0.297 0.726 0.417
O28 0.750 0.890 0.206
O29 0.408 0.590 0.913
O30 0.449 0.449 0.687
O31 0.398 0.753 0.570
O32 0.193 0.752 0.096
O33 0.059 0.562 0.308
O34 0.085 0.868 0.570
O35 0.873 0.772 0.427
O36 0.552 0.523 0.798
O37 0.058 0.973 0.201
O38 0.059 0.438 0.692
O39 0.699 0.295 0.097
O40 0.752 0.623 0.313
O41 0.398 0.247 0.430
O42 0.699 0.705 0.903
O43 0.915 0.086 0.917
O44 0.801 0.269 0.418
O45 0.943 0.945 0.687
O46 0.608 0.775 0.084
O47 0.134 0.750 0.914
O48 0.593 0.370 0.573
Al1 0.087 0.735 0.742
Al2 0.740 0.971 0.118
Al3 0.260 0.055 0.396
Al4 0.416 0.739 0.742
Al5 0.915 0.238 0.744
Al6 0.585 0.233 0.744
Al7 0.087 0.265 0.258
Al8 0.585 0.767 0.256
Al9 0.915 0.762 0.256
Al10 0.740 0.029 0.882
Al11 0.416 0.261 0.258
Al12 0.260 0.945 0.604
K1 0.901 0.500 0.000
K2 0.399 0.000 0.000
Na1 0.115 0.500 0.500
Na2 0.581 0.000 0.500

---

No. 5
KNaAl6Si6H4O24 after structural relaxation. Source: the Materials Project, functional PBE-GGA.

Output
As for the total moment: 0.0 Bohr magnetons per cell. For the energy above the most stable polymorph in this dataset, the calculation gives 0.003 eV per atom. Its crystal system is monoclinic. The formation energy comes out at -2993.1 meV per atom.

Unit cell a=5.206 b=18.078 c=19.890 alpha=89.99 beta=95.49 gamma=90.00
Element x y z (fractional)
Si1 0.950 0.622 0.637
Si2 0.940 0.877 0.136
Si3 0.012 0.784 0.861
Si4 0.947 0.379 0.140
Si5 0.542 0.464 0.360
Si6 0.984 0.284 0.638
Si7 0.987 0.784 0.639
Si8 0.539 0.535 0.863
Si9 0.016 0.284 0.862
Si10 0.458 0.464 0.140
Si11 0.461 0.535 0.637
Si12 0.538 0.036 0.862
Si13 0.060 0.877 0.364
Si14 0.020 0.217 0.360
Si15 0.050 0.622 0.863
Si16 0.452 0.965 0.137
Si17 0.950 0.122 0.637
Si18 0.548 0.965 0.364
Si19 0.050 0.122 0.863
Si20 0.976 0.713 0.139
Si21 0.053 0.379 0.361
Si22 0.024 0.713 0.361
Si23 0.462 0.036 0.638
Si24 0.980 0.217 0.140
O1 0.409 0.457 0.672
O2 0.049 0.028 0.450
O3 0.445 0.783 0.049
O4 0.377 0.374 0.550
O5 0.233 0.906 0.160
O6 0.787 0.152 0.160
O7 0.262 0.694 0.173
O8 0.958 0.722 0.056
O9 0.901 0.204 0.670
O10 0.457 0.971 0.054
O11 0.273 0.302 0.673
O12 0.268 0.931 0.331
O13 0.536 0.029 0.944
O14 0.249 0.597 0.660
O15 0.623 0.375 0.950
O16 0.958 0.971 0.551
O17 0.253 0.067 0.830
O18 0.254 0.566 0.831
O19 0.049 0.530 0.449
O20 0.539 0.471 0.442
O21 0.456 0.217 0.549
O22 0.388 0.541 0.175
O23 0.216 0.649 0.338
O24 0.375 0.624 0.052
O25 0.381 0.874 0.552
O26 0.974 0.774 0.556
O27 0.732 0.931 0.169
O28 0.104 0.124 0.945
O29 0.463 0.528 0.554
O30 0.738 0.694 0.327
O31 0.461 0.716 0.549
O32 0.625 0.624 0.448
O33 0.042 0.722 0.444
O34 0.619 0.874 0.948
O35 0.252 0.400 0.162
O36 0.795 0.848 0.659
O37 0.107 0.297 0.328
O38 0.629 0.125 0.449
O39 0.588 0.957 0.827
O40 0.749 0.437 0.173
O41 0.210 0.348 0.841
O42 0.767 0.906 0.340
O43 0.896 0.124 0.556
O44 0.205 0.848 0.841
O45 0.539 0.716 0.951
O46 0.966 0.226 0.057
O47 0.727 0.302 0.827
O48 0.590 0.043 0.328
O49 0.953 0.469 0.549
O50 0.544 0.217 0.952
O51 0.249 0.097 0.661
O52 0.969 0.275 0.555
O53 0.893 0.297 0.172
O54 0.269 0.199 0.174
O55 0.731 0.199 0.326
O56 0.547 0.282 0.450
O57 0.543 0.971 0.446
O58 0.751 0.097 0.839
O59 0.026 0.774 0.944
O60 0.047 0.469 0.951
O61 0.213 0.152 0.340
O62 0.098 0.703 0.830
O63 0.105 0.623 0.945
O64 0.453 0.282 0.051
O65 0.724 0.801 0.826
O66 0.099 0.204 0.830
O67 0.371 0.125 0.051
O68 0.112 0.874 0.446
O69 0.276 0.801 0.674
O70 0.410 0.043 0.172
O71 0.612 0.541 0.325
O72 0.412 0.957 0.673
O73 0.537 0.528 0.946
O74 0.895 0.623 0.555
O75 0.790 0.348 0.659
O76 0.747 0.067 0.670
O77 0.461 0.471 0.058
O78 0.250 0.437 0.328
O79 0.902 0.703 0.670
O80 0.034 0.226 0.443
O81 0.111 0.376 0.442
O82 0.951 0.028 0.050
O83 0.951 0.530 0.051
O84 0.464 0.029 0.556
O85 0.591 0.457 0.829
O86 0.750 0.597 0.840
O87 0.042 0.971 0.949
O88 0.096 0.795 0.331
O89 0.748 0.400 0.338
O90 0.555 0.783 0.451
O91 0.889 0.376 0.058
O92 0.784 0.649 0.162
O93 0.904 0.795 0.169
O94 0.031 0.275 0.945
O95 0.746 0.566 0.669
O96 0.888 0.874 0.054
H1 0.128 0.072 0.431
H2 0.632 0.670 0.945
H3 0.871 0.573 0.069
H4 0.368 0.670 0.555
H5 0.126 0.426 0.934
H6 0.637 0.171 0.945
H7 0.637 0.327 0.440
H8 0.350 0.830 0.051
H9 0.119 0.928 0.929
H10 0.872 0.072 0.069
H11 0.129 0.573 0.431
H12 0.881 0.928 0.571
H13 0.874 0.426 0.566
H14 0.363 0.171 0.555
H15 0.649 0.830 0.449
H16 0.363 0.327 0.060
Al1 0.532 0.869 0.861
Al2 0.752 0.542 0.498
Al3 0.468 0.869 0.639
Al4 0.248 0.542 0.002
Al5 0.754 0.706 0.499
Al6 0.755 0.043 0.499
Al7 0.746 0.292 0.001
Al8 0.750 0.457 0.000
Al9 0.253 0.956 0.502
Al10 0.457 0.628 0.140
Al11 0.246 0.706 0.001
Al12 0.747 0.956 0.998
Al13 0.250 0.208 0.001
Al14 0.465 0.369 0.637
Al15 0.741 0.791 0.999
Al16 0.245 0.043 0.001
Al17 0.259 0.791 0.501
Al18 0.543 0.628 0.360
Al19 0.461 0.132 0.139
Al20 0.750 0.208 0.499
Al21 0.539 0.132 0.362
Al22 0.535 0.369 0.863
Al23 0.250 0.457 0.500
Al24 0.254 0.292 0.500
K1 0.000 0.046 0.250
K2 0.000 0.952 0.750
K3 0.500 0.801 0.250
K4 0.000 0.451 0.750
Na1 0.500 0.214 0.750
Na2 0.000 0.560 0.250
Na3 0.500 0.711 0.750
Na4 0.500 0.288 0.250